No. 1
K3SnTe3 | meta-GGA r2SCAN | optimized geometry

Cell and atoms, written as CIF:
```
data_K3SnTe3
_chemical_formula_sum 'K12 Sn4 Te12'
_cell_length_a 13.762
_cell_length_b 9.661
_cell_length_c 9.658
_cell_angle_alpha 63.32
_cell_angle_beta 90.00
_cell_angle_gamma 90.00
_space_group_name_H-M_alt 'P 1'
_space_group_IT_number 1
_space_group_name_Hall 'P 1'
loop_
_atom_site_label
_atom_site_fract_x
_atom_site_fract_y
_atom_site_fract_z
_atom_site_occupancy
K1 0.343 0.499 0.989 1
K2 0.781 0.055 0.295 1
K3 0.157 0.499 0.489 1
K4 0.566 0.724 0.296 1
Te1 0.193 0.259 0.880 1
Sn1 0.492 0.153 0.376 1
K5 0.843 0.501 0.511 1
K6 0.219 0.945 0.705 1
Te2 0.975 0.144 0.599 1
Sn2 0.508 0.847 0.624 1
Sn3 0.008 0.153 0.876 1
K7 0.434 0.276 0.704 1
K8 0.657 0.501 0.011 1
Te3 0.867 0.329 0.925 1
Te4 0.633 0.329 0.425 1
Te5 0.475 0.856 0.901 1
Te6 0.133 0.671 0.075 1
K9 0.719 0.055 0.795 1
Te7 0.807 0.741 0.120 1
Te8 0.693 0.741 0.620 1
K10 0.934 0.724 0.796 1
K11 0.281 0.945 0.205 1
K12 0.066 0.276 0.204 1
Sn4 0.992 0.847 0.124 1
Te9 0.525 0.144 0.099 1
Te10 0.307 0.259 0.380 1
Te11 0.367 0.671 0.575 1
Te12 0.025 0.856 0.401 1
```

---

No. 2
K2SnTe3 | meta-GGA r2SCAN | optimized geometry

Cell and atoms, written as CIF:
```
data_K2SnTe3
_chemical_formula_sum 'K8 Sn4 Te12'
_cell_length_a 12.437
_cell_length_b 12.437
_cell_length_c 8.770
_cell_angle_alpha 90.00
_cell_angle_beta 90.00
_cell_angle_gamma 138.86
_space_group_name_H-M_alt 'P 1'
_space_group_IT_number 1
_space_group_name_Hall 'P 1'
loop_
_atom_site_label
_atom_site_fract_x
_atom_site_fract_y
_atom_site_fract_z
_atom_site_occupancy
K1 0.766 0.234 0.000 1
Te1 0.465 0.166 0.185 1
Te2 0.834 0.535 0.815 1
Te3 0.666 0.965 0.315 1
K2 0.234 0.766 0.000 1
K3 0.578 0.422 0.500 1
Te4 0.833 0.833 0.667 1
Te5 0.167 0.167 0.333 1
K4 0.734 0.266 0.500 1
Te6 0.035 0.334 0.685 1
Te7 0.965 0.666 0.315 1
Te8 0.166 0.465 0.185 1
K5 0.078 0.922 0.000 1
K6 0.266 0.734 0.500 1
Te9 0.334 0.035 0.685 1
Sn1 0.416 0.584 0.000 1
Sn2 0.084 0.916 0.500 1
Sn3 0.584 0.416 0.000 1
Te10 0.667 0.667 0.167 1
Te11 0.535 0.834 0.815 1
K7 0.922 0.078 0.000 1
Sn4 0.916 0.084 0.500 1
Te12 0.333 0.333 0.833 1
K8 0.422 0.578 0.500 1
```

---

Spin magnetization, respectively: 0.000, 0.000 μB/atom.
Formation energy, respectively: -1.000, -0.839 eV/atom.